# Co2OF3, relaxed, DFT GGA+U
# **Volume**: 11.3 A^3/atom
# **Density**: 4.7 g/cm3
# **Crystal system**: monoclinic
# **MP2020-corrected energy**: -6.100 eV per atom
# **Formation enthalpy at 0 K**: -1.948 eV per atom
data_Co2OF3
_chemical_formula_sum 'Co16 O8 F24'
_cell_length_a 9.326
_cell_length_b 6.255
_cell_length_c 10.155
_cell_angle_alpha 90.00
_cell_angle_beta 113.77
_cell_angle_gamma 90.00
_symmetry_space_group_name_H-M 'C 1 2/m 1'
_symmetry_Int_Tables_number 12
_symmetry_space_group_name_Hall '-C 2y'
loop_
_atom_site_label
_atom_site_type_symbol
_atom_site_fract_x
_atom_site_fract_y
_atom_site_fract_z
Co1 Co 0.000 0.000 0.000
Co2 Co 0.000 0.500 0.000
Co3 Co 0.125 0.242 0.754
Co4 Co 0.240 0.500 0.518
O1 O 0.074 0.000 0.852
O2 O 0.169 0.500 0.655
F1 F 0.074 0.500 0.848
F2 F 0.105 0.247 0.403
F3 F 0.147 0.249 0.100
F4 F 0.181 0.000 0.642